# 1
Below is an optimized crystal structure of CaTi2S4, with properties calculated at the PBE-GGA level.

Values from the calculation:
ρ ... 3.1 g/cm³
Crystal system ... monoclinic
Spin magnetization ... 0.0653 μB per atom
DFT formation energy ... -1248 kJ/mol of formula units
Raw total energy ... -90.53 eV/cell

abc: 14.5845 3.5462 5.9786
angles: 90.00 112.57 90.00
Space group C2/m (No. 12)
Inequivalent atoms, fractional coordinates:
Ca  0.0000  0.0000  0.0000 x2
Ti  0.2462  0.5000  0.7303 x4
S  0.1398  0.0000  0.4815 x4
S  0.1454  0.5000  0.9872 x4

# 2
Below is an optimized crystal structure of Ca3Ti4S8, with properties calculated at the PBE-GGA level.

Values from the calculation:
ρ ... 3.2 g/cm³
Crystal system ... monoclinic
Spin magnetization ... 0.0271 μB per atom
DFT formation energy ... -2664 kJ/mol of formula units
Raw total energy ... -188.56 eV/cell

abc: 12.3121 7.1557 9.0197
angles: 90.00 132.47 90.00
Space group C2/m (No. 12)
Inequivalent atoms, fractional coordinates:
Ca  0.0000  0.0000  0.0000 x2
Ca  0.2500  0.2500  0.0000 x4
Ti  0.0000  0.2787  0.5000 x4
Ti  0.2393  0.5000  0.4944 x4
S  0.0217  0.0000  0.7091 x4
S  0.0300  0.5000  0.7331 x4
S  0.2266  0.2474  0.2853 x8

# 3
Below is an optimized crystal structure of Ca5Ti8S16, with properties calculated at the PBE-GGA level.

Values from the calculation:
ρ ... 3.1 g/cm³
Crystal system ... monoclinic
Spin magnetization ... 0.2169 μB per atom
DFT formation energy ... -5150 kJ/mol of formula units
Raw total energy ... -369.41 eV/cell

abc: 12.2782 7.1505 13.3235
angles: 90.00 91.30 90.00
Space group C2/m (No. 12)
Inequivalent atoms, fractional coordinates:
Ca  0.0000  0.0000  0.0000 x2
Ca  0.0000  0.0000  0.5000 x2
Ca  0.0000  0.5000  0.0000 x2
Ca  0.2500  0.2500  0.5000 x4
Ti  0.0070  0.5000  0.7457 x4
Ti  0.0163  0.0000  0.7492 x4
Ti  0.2393  0.2361  0.7552 x8
S  0.0779  0.2502  0.1490 x8
S  0.0830  0.2498  0.6374 x8
S  0.1672  0.0000  0.3565 x4
S  0.1683  0.5000  0.8547 x4
S  0.1702  0.0000  0.8668 x4
S  0.1709  0.5000  0.3551 x4

# 4
Below is an optimized crystal structure of CaTiS2, with properties calculated at the PBE-GGA level.

Values from the calculation:
ρ ... 3.4 g/cm³
Crystal system ... trigonal
Spin magnetization ... 0.0484 μB per atom
DFT formation energy ... -691 kJ/mol of formula units
Raw total energy ... -24.33 eV/cell

abc: 3.6451 3.6451 6.5415
angles: 90.00 90.00 120.00
Space group P-3m1 (No. 164)
Inequivalent atoms, fractional coordinates:
Ca  0.0000  0.0000  0.0000 x1
Ti  0.0000  0.0000  0.5000 x1
S  0.3333  0.6667  0.2803 x2

# 5
Below is an optimized crystal structure of CaTi2S4, with properties calculated at the PBE-GGA level.

Values from the calculation:
ρ ... 2.8 g/cm³
Crystal system ... cubic
Spin magnetization ... 0.2842 μB per atom
DFT formation energy ... -1143 kJ/mol of formula units
Raw total energy ... -353.40 eV/cell

abc: 10.7381 10.7381 10.7381
angles: 90.00 90.00 90.00
Space group Fd-3m (No. 227, origin choice 2)
Inequivalent atoms, fractional coordinates:
Ca  0.1250  0.1250  0.1250 x8
Ti  0.0000  0.0000  0.5000 x16
S  0.0161  0.0161  0.7339 x32

# 6
Below is an optimized crystal structure of CaTi2S4, with properties calculated at the PBE-GGA level.

Values from the calculation:
ρ ... 2.8 g/cm³
Crystal system ... tetragonal
Spin magnetization ... 0.2834 μB per atom
DFT formation energy ... -1141 kJ/mol of formula units
Raw total energy ... -176.64 eV/cell

abc: 7.3793 7.3793 11.3199
angles: 90.00 90.00 90.00
Space group I4_1/amd (No. 141, origin choice 2)
Inequivalent atoms, fractional coordinates:
Ca  0.0000  0.2500  0.3750 x4
Ti  0.0000  0.0000  0.0000 x8
S  0.0000  0.0203  0.7762 x16

# 7
Below is an optimized crystal structure of CaTi2S4, with properties calculated at the PBE-GGA level.

Values from the calculation:
ρ ... 3.1 g/cm³
Crystal system ... monoclinic
Spin magnetization ... 0.0016 μB per atom
DFT formation energy ... -1255 kJ/mol of formula units
Raw total energy ... -45.34 eV/cell

abc: 5.9621 3.5613 6.9437
angles: 90.00 107.27 90.00
Space group P2/m (No. 10)
Inequivalent atoms, fractional coordinates:
Ca  0.0000  0.0000  0.0000 x1
Ti  0.0000  0.5000  0.5000 x1
Ti  0.5000  0.0000  0.5000 x1
S  0.2412  0.0000  0.7136 x2
S  0.2642  0.5000  0.2807 x2

# 8
Below is an optimized crystal structure of CaU2S5, with properties calculated at the PBE-GGA level.

Values from the calculation:
ρ ... 6.7 g/cm³
Crystal system ... orthorhombic
Spin magnetization ... 0.5000 μB per atom
DFT formation energy ... -1374 kJ/mol of formula units
Raw total energy ... -227.98 eV/cell

abc: 11.8508 7.8022 7.2822
angles: 90.00 90.00 90.00
Space group Pnma (No. 62)
Inequivalent atoms, fractional coordinates:
Ca  0.0066  0.2500  0.0723 x4
U  0.1812  0.0015  0.5117 x8
S  0.0029  0.2500  0.4758 x4
S  0.1131  0.5416  0.1667 x8
S  0.1871  0.2500  0.8230 x4
S  0.2132  0.7500  0.7950 x4

Which value of raw total energy does entry 4 give?
-24.33 eV/cell

Please write out number 8 again, unchanged.
Below is an optimized crystal structure of CaU2S5, with properties calculated at the PBE-GGA level.

Values from the calculation:
ρ ... 6.7 g/cm³
Crystal system ... orthorhombic
Spin magnetization ... 0.5000 μB per atom
DFT formation energy ... -1374 kJ/mol of formula units
Raw total energy ... -227.98 eV/cell

abc: 11.8508 7.8022 7.2822
angles: 90.00 90.00 90.00
Space group Pnma (No. 62)
Inequivalent atoms, fractional coordinates:
Ca  0.0066  0.2500  0.0723 x4
U  0.1812  0.0015  0.5117 x8
S  0.0029  0.2500  0.4758 x4
S  0.1131  0.5416  0.1667 x8
S  0.1871  0.2500  0.8230 x4
S  0.2132  0.7500  0.7950 x4